# 1
# CeErIn2 | the Materials Project | PBE | optimized geometry
data_CeErIn2
_space_group_name_H-M_alt 'F m -3 m'
_space_group_IT_number 225
_space_group_name_Hall '-F 4 2 3'
_cell_length_a 7.605
_cell_length_b 7.605
_cell_length_c 7.605
_cell_angle_alpha 90.00
_cell_angle_beta 90.00
_cell_angle_gamma 90.00
loop_
_atom_site_label
_atom_site_fract_x
_atom_site_fract_y
_atom_site_fract_z
Ce1 0.000 0.000 0.000
Er1 0.000 0.000 0.500
In1 0.250 0.250 0.250
# * calculated formation energy: -0.398 eV per atom
# * ρ: 8.11 g/cm³



# 2
# MnZnGa4Se8 | the Materials Project | PBE | optimized geometry
data_MnZnGa4Se8
_space_group_name_H-M_alt 'C 1 2 1'
_space_group_IT_number 5
_cell_length_a 7.998
_cell_length_b 11.064
_cell_length_c 8.001
_cell_angle_alpha 90.00
_cell_angle_beta 90.00
_cell_angle_gamma 90.00
loop_
_space_group_symop_operation_xyz
'x,y,z'
'-x,y,-z'
'x+1/2,y+1/2,z'
'-x+1/2,y+1/2,-z'
loop_
_atom_site_label
_atom_site_fract_x
_atom_site_fract_y
_atom_site_fract_z
Mn1 0.000 0.000 0.000
Zn1 0.000 0.500 0.500
Ga1 0.000 0.000 0.500
Ga2 0.000 0.500 0.000
Ga3 0.250 0.250 0.750
Se1 0.011 0.134 0.255
Se2 0.011 0.633 0.753
Se3 0.245 0.366 0.011
Se4 0.247 0.867 0.511
# * calculated formation energy: -0.872 eV per atom
# * ρ: 4.84 g/cm³
# * total magnetic moment: 5.0 μB per formula unit



# 3
# TlAgF3 | the Materials Project | PBE | optimized geometry
data_TlAgF3
_space_group_name_H-M_alt 'C 1 m 1'
_space_group_IT_number 8
_cell_length_a 6.284
_cell_length_b 6.239
_cell_length_c 4.429
_cell_angle_alpha 90.00
_cell_angle_beta 90.66
_cell_angle_gamma 90.00
loop_
_space_group_symop_operation_xyz
'x,y,z'
'x,-y,z'
'x+1/2,y+1/2,z'
'x+1/2,-y+1/2,z'
loop_
_atom_site_label
_atom_site_fract_x
_atom_site_fract_y
_atom_site_fract_z
Tl1 0.000 0.000 0.000
Ag1 0.002 0.500 0.508
F1 0.008 0.500 0.009
F2 0.251 0.249 0.511
# * calculated formation energy: -1.710 eV per atom
# * ρ: 7.06 g/cm³
# * total magnetic moment: 0.0 μB per formula unit